Record 1
DFT (GGA-PBE) results for crystalline Tm10S19 at its relaxed geometry.

Its mass density is 6.7 Mg/m³. For the calculated formation energy, the calculation gives -60.42 eV per formula unit. For the volume, the calculation gives 19.62 Å³/atom.

a b c (Å): 8.539 8.539 15.610
angles (deg): 90.00 90.00 90.00
Atoms (fractional coordinates):
Tm (0.041, 0.151, 0.122)
Tm (0.054, 0.145, 0.604)
Tm (0.145, 0.446, 0.896)
Tm (0.151, 0.459, 0.378)
Tm (0.250, 0.750, 0.116)
Tm (0.250, 0.750, 0.616)
Tm (0.349, 0.041, 0.378)
Tm (0.355, 0.054, 0.896)
Tm (0.446, 0.355, 0.604)
Tm (0.459, 0.349, 0.122)
Tm (0.541, 0.651, 0.878)
Tm (0.554, 0.645, 0.396)
Tm (0.645, 0.946, 0.104)
Tm (0.651, 0.959, 0.622)
Tm (0.750, 0.250, 0.384)
Tm (0.750, 0.250, 0.884)
Tm (0.849, 0.541, 0.622)
Tm (0.855, 0.554, 0.104)
Tm (0.946, 0.855, 0.396)
Tm (0.959, 0.849, 0.878)
S (0.028, 0.691, 0.250)
S (0.049, 0.152, 0.428)
S (0.053, 0.149, 0.939)
S (0.070, 0.617, 0.750)
S (0.117, 0.930, 0.250)
S (0.149, 0.447, 0.561)
S (0.152, 0.451, 0.072)
S (0.191, 0.972, 0.750)
S (0.250, 0.250, 0.250)
S (0.250, 0.750, 0.435)
S (0.250, 0.750, 0.935)
S (0.309, 0.528, 0.750)
S (0.348, 0.049, 0.072)
S (0.351, 0.053, 0.561)
S (0.383, 0.570, 0.250)
S (0.430, 0.883, 0.750)
S (0.447, 0.351, 0.939)
S (0.451, 0.348, 0.428)
S (0.472, 0.809, 0.250)
S (0.528, 0.191, 0.750)
S (0.549, 0.652, 0.572)
S (0.553, 0.649, 0.061)
S (0.570, 0.117, 0.250)
S (0.617, 0.430, 0.750)
S (0.649, 0.947, 0.439)
S (0.652, 0.951, 0.928)
S (0.691, 0.472, 0.250)
S (0.750, 0.250, 0.065)
S (0.750, 0.250, 0.565)
S (0.750, 0.750, 0.750)
S (0.809, 0.028, 0.250)
S (0.848, 0.549, 0.928)
S (0.851, 0.553, 0.439)
S (0.883, 0.070, 0.750)
S (0.930, 0.383, 0.250)
S (0.947, 0.851, 0.061)
S (0.951, 0.848, 0.572)
S (0.972, 0.309, 0.750)

=====

Record 2
DFT (GGA-PBE) results for crystalline Cs2Ti2S9 at its relaxed geometry.

Its mass density is 2.9 Mg/m³. For the calculated formation energy, the calculation gives -17.24 eV per formula unit. For the volume, the calculation gives 29.09 Å³/atom.

a b c (Å): 10.492 10.492 10.492
angles (deg): 83.52 83.52 83.52
Atoms (fractional coordinates):
Cs (0.000, 0.000, 0.000)
Cs (0.174, 0.440, 0.786)
Cs (0.235, 0.235, 0.235)
Cs (0.440, 0.786, 0.174)
Cs (0.659, 0.659, 0.659)
Cs (0.786, 0.174, 0.440)
Ti (0.168, 0.867, 0.530)
Ti (0.332, 0.993, 0.730)
Ti (0.530, 0.168, 0.867)
Ti (0.730, 0.332, 0.993)
Ti (0.867, 0.530, 0.168)
Ti (0.993, 0.730, 0.332)
S (0.012, 0.709, 0.573)
S (0.092, 0.603, 0.154)
S (0.115, 0.912, 0.314)
S (0.154, 0.092, 0.603)
S (0.172, 0.559, 0.329)
S (0.196, 0.822, 0.786)
S (0.314, 0.115, 0.912)
S (0.329, 0.172, 0.559)
S (0.349, 0.705, 0.512)
S (0.383, 0.779, 0.834)
S (0.394, 0.894, 0.507)
S (0.507, 0.394, 0.894)
S (0.512, 0.349, 0.705)
S (0.559, 0.329, 0.172)
S (0.573, 0.012, 0.709)
S (0.603, 0.154, 0.092)
S (0.643, 0.953, 0.887)
S (0.705, 0.512, 0.349)
S (0.709, 0.573, 0.012)
S (0.779, 0.834, 0.383)
S (0.786, 0.196, 0.822)
S (0.822, 0.786, 0.196)
S (0.834, 0.383, 0.779)
S (0.887, 0.643, 0.953)
S (0.894, 0.507, 0.394)
S (0.912, 0.314, 0.115)
S (0.953, 0.887, 0.643)

=====

Record 3
DFT (GGA-PBE) results for crystalline SiAg2O3 at its relaxed geometry.

Its mass density is 5.7 Mg/m³. Its total magnetic moment is 0.00 μB per cell. For the calculated formation energy, the calculation gives -10.53 eV per formula unit. For the volume, the calculation gives 14.05 Å³/atom.

a b c (Å): 4.613 7.130 10.254
angles (deg): 90.00 90.00 90.00
Atoms (fractional coordinates):
Si (0.047, 0.142, 0.063)
Si (0.453, 0.858, 0.563)
Si (0.547, 0.358, 0.937)
Si (0.953, 0.642, 0.437)
Ag (0.024, 0.592, 0.776)
Ag (0.100, 0.636, 0.118)
Ag (0.400, 0.364, 0.618)
Ag (0.476, 0.408, 0.276)
Ag (0.524, 0.908, 0.224)
Ag (0.600, 0.864, 0.882)
Ag (0.900, 0.136, 0.382)
Ag (0.976, 0.092, 0.724)
O (0.097, 0.438, 0.463)
O (0.196, 0.155, 0.209)
O (0.199, 0.813, 0.451)
O (0.301, 0.187, 0.951)
O (0.304, 0.845, 0.709)
O (0.403, 0.562, 0.963)
O (0.597, 0.062, 0.537)
O (0.696, 0.345, 0.791)
O (0.699, 0.687, 0.549)
O (0.801, 0.313, 0.049)
O (0.804, 0.655, 0.291)
O (0.903, 0.938, 0.037)

=====

Record 4
DFT (GGA-PBE) results for crystalline TbSe at its relaxed geometry.

Its mass density is 6.6 Mg/m³. Its total magnetic moment is 0.00 μB per cell. For the calculated formation energy, the calculation gives -3.53 eV per formula unit. For the volume, the calculation gives 29.79 Å³/atom.

a b c (Å): 4.902 4.902 5.727
angles (deg): 90.00 90.00 120.00
Atoms (fractional coordinates):
Tb (0.333, 0.667, 0.250)
Tb (0.667, 0.333, 0.750)
Se (0.333, 0.667, 0.750)
Se (0.667, 0.333, 0.250)

=====

Record 5
DFT (GGA-PBE) results for crystalline Tb2MgNb2O8 at its relaxed geometry.

Its mass density is 6.0 Mg/m³. Its total magnetic moment is 0.00 μB per cell. For the calculated formation energy, the calculation gives -41.91 eV per formula unit. For the volume, the calculation gives 14.05 Å³/atom. As for the offset from the most stable computed form: 0 meV/atom.

a b c (Å): 5.665 6.166 6.322
angles (deg): 115.73 108.24 94.76
Atoms (fractional coordinates):
Tb (0.000, 0.000, 0.000)
Tb (0.376, 0.063, 0.622)
Mg (0.425, 0.568, 0.635)
Nb (0.486, 0.593, 0.145)
Nb (0.847, 0.458, 0.439)
O (0.129, 0.265, 0.423)
O (0.149, 0.759, 0.660)
O (0.215, 0.288, 0.937)
O (0.243, 0.815, 0.199)
O (0.636, 0.764, 0.547)
O (0.643, 0.312, 0.547)
O (0.652, 0.737, 0.001)
O (0.714, 0.276, 0.050)

=====

Record 6
DFT (GGA-PBE) results for crystalline RuSeS at its relaxed geometry.

Its mass density is 7.1 Mg/m³. Its total magnetic moment is 0.00 μB per cell. For the calculated formation energy, the calculation gives -1.91 eV per formula unit. For the volume, the calculation gives 16.57 Å³/atom.

a b c (Å): 5.836 5.836 5.836
angles (deg): 90.00 90.00 90.00
Atoms (fractional coordinates):
Ru (0.008, 0.008, 0.008)
Ru (0.492, 0.992, 0.508)
Ru (0.508, 0.492, 0.992)
Ru (0.992, 0.508, 0.492)
Se (0.119, 0.619, 0.881)
Se (0.381, 0.381, 0.381)
Se (0.619, 0.881, 0.119)
Se (0.881, 0.119, 0.619)
S (0.116, 0.884, 0.384)
S (0.384, 0.116, 0.884)
S (0.616, 0.616, 0.616)
S (0.884, 0.384, 0.116)

=====

Record 7
DFT (GGA-PBE) results for crystalline KZn4P3O12 at its relaxed geometry.

Its mass density is 3.4 Mg/m³. Its total magnetic moment is 0.00 μB per cell. For the calculated formation energy, the calculation gives -48.76 eV per formula unit. For the volume, the calculation gives 14.23 Å³/atom.

a b c (Å): 8.269 14.066 9.789
angles (deg): 90.00 90.00 90.00
Atoms (fractional coordinates):
K (0.250, 0.250, 0.194)
K (0.250, 0.250, 0.694)
K (0.750, 0.750, 0.306)
K (0.750, 0.750, 0.806)
Zn (0.087, 0.645, 0.497)
Zn (0.087, 0.855, 0.997)
Zn (0.105, 0.551, 0.192)
Zn (0.105, 0.949, 0.692)
Zn (0.395, 0.551, 0.692)
Zn (0.395, 0.949, 0.192)
Zn (0.413, 0.645, 0.997)
Zn (0.413, 0.855, 0.497)
Zn (0.587, 0.145, 0.503)
Zn (0.587, 0.355, 0.003)
Zn (0.605, 0.051, 0.808)
Zn (0.605, 0.449, 0.308)
Zn (0.895, 0.051, 0.308)
Zn (0.895, 0.449, 0.808)
Zn (0.913, 0.145, 0.003)
Zn (0.913, 0.355, 0.503)
P (0.246, 0.065, 0.434)
P (0.246, 0.435, 0.934)
P (0.250, 0.750, 0.254)
P (0.250, 0.750, 0.754)
P (0.254, 0.065, 0.934)
P (0.254, 0.435, 0.434)
P (0.746, 0.565, 0.566)
P (0.746, 0.935, 0.066)
P (0.750, 0.250, 0.246)
P (0.750, 0.250, 0.746)
P (0.754, 0.565, 0.066)
P (0.754, 0.935, 0.566)
O (0.097, 0.737, 0.342)
O (0.097, 0.763, 0.842)
O (0.119, 0.087, 0.324)
O (0.119, 0.413, 0.824)
O (0.133, 0.149, 0.936)
O (0.133, 0.351, 0.436)
O (0.159, 0.529, 0.391)
O (0.159, 0.971, 0.891)
O (0.171, 0.052, 0.576)
O (0.171, 0.448, 0.076)
O (0.236, 0.661, 0.656)
O (0.236, 0.839, 0.156)
O (0.264, 0.661, 0.156)
O (0.264, 0.839, 0.656)
O (0.329, 0.052, 0.076)
O (0.329, 0.448, 0.576)
O (0.341, 0.529, 0.891)
O (0.341, 0.971, 0.391)
O (0.367, 0.149, 0.436)
O (0.367, 0.351, 0.936)
O (0.381, 0.087, 0.824)
O (0.381, 0.413, 0.324)
O (0.403, 0.737, 0.842)
O (0.403, 0.763, 0.342)
O (0.597, 0.237, 0.658)
O (0.597, 0.263, 0.158)
O (0.619, 0.587, 0.676)
O (0.619, 0.913, 0.176)
O (0.633, 0.649, 0.064)
O (0.633, 0.851, 0.564)
O (0.659, 0.029, 0.609)
O (0.659, 0.471, 0.109)
O (0.671, 0.552, 0.424)
O (0.671, 0.948, 0.924)
O (0.736, 0.161, 0.344)
O (0.736, 0.339, 0.844)
O (0.764, 0.161, 0.844)
O (0.764, 0.339, 0.344)
O (0.829, 0.552, 0.924)
O (0.829, 0.948, 0.424)
O (0.841, 0.029, 0.109)
O (0.841, 0.471, 0.609)
O (0.867, 0.649, 0.564)
O (0.867, 0.851, 0.064)
O (0.881, 0.587, 0.176)
O (0.881, 0.913, 0.676)
O (0.903, 0.237, 0.158)
O (0.903, 0.263, 0.658)

=====

Record 8
DFT (GGA-PBE) results for crystalline ThN4F8 at its relaxed geometry.

Its mass density is 2.7 Mg/m³. Its total magnetic moment is 0.03 μB per cell. For the calculated formation energy, the calculation gives -13.97 eV per formula unit. For the volume, the calculation gives 21.21 Å³/atom. As for the offset from the most stable computed form: 695 meV/atom.

a b c (Å): 7.808 8.421 8.724
angles (deg): 98.72 90.96 103.10
Atoms (fractional coordinates):
Th (0.247, 0.475, 0.022)
Th (0.753, 0.525, 0.978)
N (0.116, 0.036, 0.186)
N (0.157, 0.673, 0.548)
N (0.369, 0.238, 0.482)
N (0.418, 0.966, 0.821)
N (0.582, 0.034, 0.179)
N (0.631, 0.762, 0.518)
N (0.843, 0.327, 0.452)
N (0.884, 0.964, 0.814)
F (0.038, 0.554, 0.872)
F (0.091, 0.192, 0.206)
F (0.195, 0.239, 0.884)
F (0.255, 0.575, 0.594)
F (0.294, 0.882, 0.903)
F (0.328, 0.646, 0.229)
F (0.336, 0.077, 0.493)
F (0.493, 0.608, 0.905)
F (0.507, 0.392, 0.095)
F (0.664, 0.923, 0.507)
F (0.672, 0.354, 0.771)
F (0.706, 0.118, 0.097)
F (0.745, 0.425, 0.406)
F (0.805, 0.761, 0.116)
F (0.909, 0.808, 0.794)
F (0.962, 0.446, 0.128)

=====

Record 9
DFT (GGA-PBE) results for crystalline Na4NbIn3P6O24 at its relaxed geometry.

Its mass density is 3.4 Mg/m³. Its total magnetic moment is 0.00 μB per cell. For the calculated formation energy, the calculation gives -99.19 eV per formula unit. For the volume, the calculation gives 14.01 Å³/atom.

a b c (Å): 8.982 8.982 22.842
angles (deg): 90.07 90.03 119.95
Atoms (fractional coordinates):
Na (0.000, 0.000, 0.000)
Na (0.000, 0.000, 0.491)
Na (0.002, 0.371, 0.746)
Na (0.031, 0.697, 0.576)
Na (0.304, 0.334, 0.576)
Na (0.317, 0.665, 0.159)
Na (0.347, 0.679, 0.665)
Na (0.368, 0.369, 0.240)
Na (0.630, 0.996, 0.240)
Na (0.654, 0.332, 0.831)
Na (0.667, 0.971, 0.576)
Na (0.679, 0.345, 0.330)
Nb (0.000, 0.998, 0.346)
Nb (0.000, 0.998, 0.849)
Nb (0.335, 0.667, 0.012)
In (0.000, 0.997, 0.139)
In (0.000, 0.997, 0.647)
In (0.327, 0.667, 0.312)
In (0.332, 0.667, 0.503)
In (0.340, 0.673, 0.811)
In (0.660, 0.333, 0.682)
In (0.665, 0.332, 0.473)
In (0.668, 0.333, 0.976)
In (0.675, 0.341, 0.173)
P (0.001, 0.291, 0.243)
P (0.001, 0.705, 0.744)
P (0.031, 0.666, 0.410)
P (0.040, 0.374, 0.907)
P (0.292, 0.293, 0.744)
P (0.292, 0.999, 0.243)
P (0.333, 0.365, 0.408)
P (0.335, 0.961, 0.909)
P (0.370, 0.335, 0.076)
P (0.372, 0.038, 0.576)
P (0.626, 0.665, 0.909)
P (0.635, 0.968, 0.408)
P (0.665, 0.628, 0.576)
P (0.666, 0.036, 0.076)
P (0.706, 0.998, 0.743)
P (0.709, 0.707, 0.243)
P (0.963, 0.334, 0.578)
P (0.965, 0.630, 0.074)
O (0.018, 0.833, 0.400)
O (0.023, 0.798, 0.685)
O (0.030, 0.193, 0.902)
O (0.033, 0.212, 0.189)
O (0.114, 0.471, 0.850)
O (0.118, 0.641, 0.357)
O (0.135, 0.704, 0.468)
O (0.144, 0.496, 0.571)
O (0.149, 0.647, 0.064)
O (0.157, 0.679, 0.749)
O (0.163, 0.469, 0.250)
O (0.163, 0.969, 0.902)
O (0.164, 0.471, 0.960)
O (0.167, 0.183, 0.400)
O (0.185, 0.172, 0.797)
O (0.187, 0.183, 0.080)
O (0.188, 0.974, 0.188)
O (0.189, 0.016, 0.582)
O (0.192, 0.016, 0.297)
O (0.193, 0.222, 0.686)
O (0.297, 0.435, 0.465)
O (0.302, 0.468, 0.750)
O (0.307, 0.840, 0.963)
O (0.325, 0.847, 0.249)
O (0.352, 0.855, 0.570)
O (0.354, 0.502, 0.065)
O (0.356, 0.472, 0.353)
O (0.360, 0.885, 0.853)
O (0.449, 0.152, 0.522)
O (0.459, 0.310, 0.024)
O (0.467, 0.301, 0.745)
O (0.469, 0.169, 0.242)
O (0.471, 0.372, 0.135)
O (0.484, 0.142, 0.917)
O (0.486, 0.114, 0.631)
O (0.487, 0.339, 0.412)
O (0.498, 0.853, 0.065)
O (0.504, 0.649, 0.570)
O (0.524, 0.638, 0.853)
O (0.527, 0.687, 0.250)
O (0.527, 0.842, 0.748)
O (0.529, 0.884, 0.353)
O (0.534, 0.695, 0.962)
O (0.564, 0.862, 0.465)
O (0.628, 0.100, 0.135)
O (0.629, 0.516, 0.631)
O (0.658, 0.516, 0.916)
O (0.662, 0.149, 0.412)
O (0.690, 0.527, 0.242)
O (0.691, 0.148, 0.024)
O (0.702, 0.550, 0.522)
O (0.709, 0.172, 0.744)
O (0.779, 0.978, 0.684)
O (0.785, 0.819, 0.190)
O (0.807, 0.837, 0.902)
O (0.817, 0.983, 0.400)
O (0.818, 0.004, 0.080)
O (0.823, 0.806, 0.298)
O (0.827, 0.811, 0.581)
O (0.829, 0.013, 0.795)
O (0.830, 0.294, 0.242)
O (0.836, 0.527, 0.745)
O (0.845, 0.299, 0.525)
O (0.850, 0.513, 0.413)
O (0.855, 0.547, 0.020)
O (0.860, 0.343, 0.915)
O (0.889, 0.367, 0.635)
O (0.901, 0.524, 0.131)
O (0.981, 0.172, 0.297)
O (0.985, 0.173, 0.582)
O (0.989, 0.813, 0.796)
O (0.996, 0.813, 0.079)

=====

Among the records above, which one has the lowest volume? Na4NbIn3P6O24

=====

Which of these has the lowest mass density? ThN4F8

=====

Which value of mass density does entry 1 give? 6.7 Mg/m³

=====

What is the mass density in the seventh record? 3.4 Mg/m³